Entry 1:
The following is a PBE-GGA calculation of SmBr after structural relaxation, from the Materials Project.

Lattice parameters (Å, degrees): 3.6810 3.6810 4.5818 90.00 90.00 120.00
Atoms (fractional coordinates):
Sm1 0.0000 0.0000 0.0000
Br1 0.3333 0.6667 0.5000

Values from the calculation:
E_form: -1.41 eV/atom
crystal system: hexagonal
magnetic moment: 0.000 μB/f.u.
SG: P-6m2 (187)

=====

Entry 2:
The following is a PBE-GGA calculation of CaCuP4Ru2O14 after structural relaxation, from the Materials Project.

Lattice parameters (Å, degrees): 5.0045 6.7014 8.7252 93.51 91.32 106.56
Atoms (fractional coordinates):
Ca1 0.4107 0.5558 0.0656
Cu1 0.0005 0.0006 0.5092
P1 0.3965 0.7850 0.7813
P2 0.5996 0.2117 0.2137
P3 0.0181 0.6469 0.2799
P4 0.9713 0.3530 0.7290
Ru1 0.4975 0.4939 0.5029
Ru2 0.0025 0.9990 0.9963
O1 0.1227 0.7930 0.1517
O2 0.8857 0.2012 0.8530
O3 0.4777 0.7713 0.6148
O4 0.5178 0.2186 0.3807
O5 0.2037 0.5499 0.8222
O6 0.7879 0.4561 0.1816
O7 0.2228 0.9348 0.8093
O8 0.7750 0.0647 0.1814
O9 0.2560 0.5571 0.3225
O10 0.7343 0.4359 0.6796
O11 0.6302 0.7965 0.9047
O12 0.3672 0.2080 0.0920
O13 0.1370 0.2838 0.5953
O14 0.8603 0.7202 0.4112

Values from the calculation:
E_form: -2.18 eV/atom
polymorph energy (0 for the lowest one): 0.012 eV per atom
crystal system: triclinic
magnetic moment: 1.002 μB/f.u.
SG: P1 (1)

=====

Entry 3:
The following is a PBE-GGA calculation of LiCu3C3O9 after structural relaxation, from the Materials Project.

Lattice parameters (Å, degrees): 3.2527 14.0030 14.1418 60.51 88.66 88.84
Atoms (fractional coordinates):
Li1 0.5520 0.8898 0.5504
Li2 0.5098 0.2194 0.8785
Li3 0.4876 0.5487 0.2025
Cu1 0.0718 0.7720 0.7740
Cu2 0.0144 0.4589 0.7833
Cu3 0.0073 0.0912 0.7829
Cu4 0.9352 0.7514 0.4464
Cu5 0.9705 0.4634 0.4420
Cu6 0.0643 0.1213 0.4584
Cu7 0.9548 0.7916 0.1130
Cu8 0.9783 0.4194 0.1088
Cu9 0.9770 0.1174 0.1163
C1 0.0021 0.6618 0.0010
C2 0.0034 0.6713 0.6644
C3 0.0141 0.9892 0.3465
C4 0.9918 0.3314 0.6775
C5 0.5228 0.0057 0.6650
C6 0.4739 0.6662 0.3187
C7 0.9915 0.3403 0.3296
C8 0.0096 0.0067 0.9971
C9 0.5075 0.3242 0.0000
O1 0.0177 0.9281 0.9751
O2 0.0593 0.7543 0.9147
O3 0.9756 0.5726 0.9970
O4 0.5415 0.9059 0.6829
O5 0.5027 0.4037 0.9022
O6 0.0312 0.6046 0.7672
O7 0.0500 0.7757 0.6321
O8 0.0182 0.1077 0.9145
O9 0.0365 0.9856 0.4419
O10 0.0268 0.3257 0.7736
O11 0.9291 0.6365 0.5986
O12 0.9826 0.4255 0.5924
O13 0.9159 0.9033 0.3423
O14 0.9630 0.2433 0.6722
O15 0.5239 0.0268 0.7445
O16 0.4518 0.6824 0.4003
O17 0.5072 0.0861 0.5649
O18 0.4788 0.5643 0.3356
O19 0.4863 0.7463 0.2194
O20 0.9916 0.9886 0.0948
O21 0.0037 0.3345 0.4225
O22 0.9926 0.4367 0.2398
O23 0.9794 0.2540 0.3202
O24 0.9712 0.6585 0.0956
O25 0.0888 0.0796 0.2610
O26 0.5008 0.3411 0.0827
O27 0.5158 0.2220 0.0186

Values from the calculation:
E_form: -1.46 eV/atom
polymorph energy (0 for the lowest one): 0.006 eV per atom
crystal system: triclinic
magnetic moment: 2.000 μB/f.u.
SG: P1 (1)

=====

Entry 4:
The following is a PBE-GGA calculation of Bi2OF2 after structural relaxation, from the Materials Project.

Lattice parameters (Å, degrees): 3.3851 3.3851 11.9014 90.00 90.00 90.00
Atoms (fractional coordinates):
Bi1 0.5000 0.5000 0.1819
Bi2 0.5000 0.5000 0.8181
O1 0.5000 0.5000 0.0000
F1 0.5000 0.5000 0.6423
F2 0.5000 0.5000 0.3577

Values from the calculation:
E_form: -1.16 eV/atom
crystal system: tetragonal
magnetic moment: 0.004 μB/f.u.
SG: P4/mmm (123)

=====

Entry 5:
The following is a PBE-GGA calculation of Be2AsO9 after structural relaxation, from the Materials Project.

Lattice parameters (Å, degrees): 7.6094 7.1354 13.1272 90.00 90.00 94.43
Atoms (fractional coordinates):
Be1 0.3940 0.1114 0.1344
Be2 0.6060 0.8886 0.8656
Be3 0.1060 0.8886 0.6344
Be4 0.8940 0.1114 0.3656
Be5 0.0908 0.3931 0.1443
Be6 0.9092 0.6069 0.8557
Be7 0.4092 0.6069 0.6443
Be8 0.5908 0.3931 0.3557
As1 0.2477 0.2133 0.3276
As2 0.7523 0.7867 0.6724
As3 0.2523 0.7867 0.8276
As4 0.7477 0.2133 0.1724
O1 0.9804 0.6782 0.2676
O2 0.0196 0.3218 0.7324
O3 0.5196 0.3218 0.7676
O4 0.4804 0.6782 0.2324
O5 0.3400 0.0572 0.2472
O6 0.6600 0.9428 0.7528
O7 0.1600 0.9428 0.7472
O8 0.8400 0.0572 0.2528
O9 0.2644 0.2888 0.0867
O10 0.7356 0.7112 0.9132
O11 0.2356 0.7112 0.5868
O12 0.7644 0.2888 0.4132
O13 0.1461 0.3805 0.2589
O14 0.8539 0.6195 0.7411
O15 0.3539 0.6195 0.7589
O16 0.6461 0.3805 0.2411
O17 0.1270 0.6389 0.1231
O18 0.8730 0.3611 0.8769
O19 0.3730 0.3611 0.6231
O20 0.6270 0.6389 0.3769
O21 0.0869 0.1057 0.4038
O22 0.9131 0.8943 0.5962
O23 0.4131 0.8943 0.9038
O24 0.5869 0.1057 0.0962
O25 0.4090 0.3221 0.4017
O26 0.5910 0.6779 0.5983
O27 0.0910 0.6779 0.9017
O28 0.9090 0.3221 0.0983
O29 0.2788 0.8926 0.5558
O30 0.7212 0.1074 0.4442
O31 0.2212 0.1074 0.0558
O32 0.7788 0.8926 0.9442
O33 0.9283 0.2481 0.8037
O34 0.0717 0.7519 0.1963
O35 0.5717 0.7519 0.3037
O36 0.4283 0.2481 0.6963

Values from the calculation:
E_form: -0.97 eV/atom
crystal system: monoclinic
magnetic moment: 1.000 μB/f.u.
SG: P2_1/c (14)

=====

Entry 6:
The following is a PBE-GGA calculation of Ba2TbBiO6 after structural relaxation, from the Materials Project.

Lattice parameters (Å, degrees): 6.1799 6.1799 6.1799 60.00 60.00 60.00
Atoms (fractional coordinates):
Ba1 0.2500 0.2500 0.2500
Ba2 0.7500 0.7500 0.7500
Tb1 0.5000 0.5000 0.5000
Bi1 0.0000 0.0000 0.0000
O1 0.7567 0.2433 0.2433
O2 0.2433 0.7567 0.7567
O3 0.7567 0.2433 0.7567
O4 0.2433 0.7567 0.2433
O5 0.7567 0.7567 0.2433
O6 0.2433 0.2433 0.7567

Values from the calculation:
E_form: -2.82 eV/atom
crystal system: cubic
magnetic moment: 0.000 μB/f.u.
SG: Fm-3m (225)

=====

Entry 7:
The following is a PBE-GGA calculation of SrPrScO4 after structural relaxation, from the Materials Project.

Lattice parameters (Å, degrees): 6.9251 6.9251 6.9251 146.05 146.05 48.77
Atoms (fractional coordinates):
Sr1 0.6468 0.6468 0.0000
Pr1 0.3611 0.3611 0.0000
Sc1 0.0049 0.0049 0.0000
O1 0.4900 0.9900 0.5000
O2 0.9900 0.4900 0.5000
O3 0.8312 0.8312 0.0000
O4 0.1760 0.1760 0.0000

Values from the calculation:
E_form: -3.59 eV/atom
polymorph energy (0 for the lowest one): 0.019 eV per atom
crystal system: tetragonal
magnetic moment: 0.002 μB/f.u.
SG: I4mm (107)

=====

Entry 8:
The following is a PBE-GGA calculation of KNdP4O12 after structural relaxation, from the Materials Project.

Lattice parameters (Å, degrees): 8.5904 7.4140 8.1089 88.25 90.00 90.00
Atoms (fractional coordinates):
K1 0.4364 0.2686 0.2825
K2 0.9364 0.7314 0.7175
Nd1 0.2504 0.7632 0.2418
Nd2 0.7504 0.2368 0.7582
P1 0.4000 0.9977 0.6181
P2 0.9000 0.0023 0.3819
P3 0.9992 0.3823 0.3950
P4 0.4992 0.6177 0.6050
P5 0.8749 0.5679 0.0959
P6 0.3749 0.4321 0.9041
P7 0.6725 0.8997 0.1047
P8 0.1725 0.1003 0.8953
O1 0.4392 0.6073 0.4321
O2 0.9392 0.3927 0.5679
O3 0.2042 0.0297 0.0677
O4 0.7042 0.9703 0.9323
O5 0.1525 0.4671 0.3510
O6 0.6525 0.5329 0.6490
O7 0.3651 0.5402 0.7287
O8 0.8651 0.4598 0.2713
O9 0.5091 0.8252 0.6582
O10 0.0091 0.1748 0.3418
O11 0.3034 0.9688 0.4666
O12 0.8034 0.0312 0.5334
O13 0.0119 0.0883 0.8247
O14 0.5119 0.9117 0.1753
O15 0.7221 0.6908 0.1216
O16 0.2221 0.3092 0.8784
O17 0.7911 0.0090 0.2210
O18 0.2911 0.9910 0.7790
O19 0.0026 0.8382 0.3851
O20 0.5026 0.1618 0.6149
O21 0.0178 0.6821 0.0737
O22 0.5178 0.3179 0.9263
O23 0.8427 0.4396 0.9602
O24 0.3427 0.5604 0.0398

Values from the calculation:
maximum piezoelectric response: 0.4 C/m²
E_form: -2.92 eV/atom
crystal system: monoclinic
SG: P2_1 (4)

=====

Entry 9:
The following is a PBE-GGA calculation of LiCuPO4 after structural relaxation, from the Materials Project.

Lattice parameters (Å, degrees): 5.0873 8.3058 8.6905 70.09 90.00 90.00
Atoms (fractional coordinates):
Li1 0.8391 0.0941 0.0197
Li2 0.3242 0.2679 0.4950
Li3 0.1609 0.5941 0.0197
Li4 0.6758 0.7679 0.4950
Cu1 0.6717 0.9972 0.7468
Cu2 0.8128 0.3301 0.2706
Cu3 0.3283 0.4972 0.7468
Cu4 0.1872 0.8301 0.2706
P1 0.3270 0.2224 0.1368
P2 0.8343 0.3709 0.6308
P3 0.6730 0.7224 0.1368
P4 0.1657 0.8709 0.6308
O1 0.1955 0.0635 0.1135
O2 0.3130 0.0228 0.6575
O3 0.6270 0.1881 0.1636
O4 0.2043 0.2610 0.2847
O5 0.8122 0.2085 0.7846
O6 0.7066 0.3262 0.4872
O7 0.8045 0.5635 0.1135
O8 0.1269 0.4214 0.5882
O9 0.2718 0.3796 0.9822
O10 0.6870 0.5228 0.6575
O11 0.3730 0.6881 0.1636
O12 0.7957 0.7610 0.2847
O13 0.1878 0.7085 0.7846
O14 0.2934 0.8262 0.4872
O15 0.8731 0.9214 0.5882
O16 0.7282 0.8796 0.9822

Values from the calculation:
E_form: -2.18 eV/atom
polymorph energy (0 for the lowest one): 0.021 eV per atom
crystal system: monoclinic
magnetic moment: 1.000 μB/f.u.
SG: Pc (7)

=====

Entry 10:
The following is a PBE-GGA calculation of LuTlSe2 after structural relaxation, from the Materials Project.

Lattice parameters (Å, degrees): 8.1255 8.1255 8.1255 29.33 29.33 29.33
Atoms (fractional coordinates):
Lu1 0.0000 0.0000 0.0000
Tl1 0.5000 0.5000 0.5000
Se1 0.7332 0.7332 0.7332
Se2 0.2668 0.2668 0.2668

Values from the calculation:
E_form: -1.59 eV/atom
crystal system: trigonal
SG: R-3m (166)

=====

Entry 11:
The following is a PBE-GGA calculation of Ca12Al14O33 after structural relaxation, from the Materials Project.

Lattice parameters (Å, degrees): 10.4495 10.4603 10.4690 109.33 109.92 109.10
Atoms (fractional coordinates):
Ca1 0.4555 0.7465 0.6991
Ca2 0.7558 0.6114 0.3621
Ca3 0.1363 0.3919 0.2509
Ca4 0.7506 0.1350 0.8857
Ca5 0.3615 0.1073 0.7466
Ca6 0.8035 0.7467 0.0519
Ca7 0.2491 0.8841 0.1406
Ca8 0.6137 0.8630 0.2507
Ca9 0.1106 0.2468 0.8591
Ca10 0.8767 0.6445 0.7575
Ca11 0.6408 0.2518 0.3923
Ca12 0.2562 0.3660 0.6146
Al1 0.3739 0.2482 0.1260
Al2 0.1251 0.7485 0.3751
Al3 0.7511 0.8744 0.6229
Al4 0.4608 0.4605 0.9649
Al5 0.0018 0.0373 0.0020
Al6 0.0011 0.5360 0.0011
Al7 0.9662 0.9637 0.4610
Al8 0.6249 0.3751 0.7516
Al9 0.4980 0.9964 0.5353
Al10 0.2485 0.6245 0.8741
Al11 0.5369 0.4997 0.4999
Al12 0.0384 0.5024 0.5031
Al13 0.8768 0.1267 0.2521
Al14 0.5010 0.0017 0.0386
O1 0.7059 0.6812 0.5724
O2 0.8716 0.4985 0.5081
O3 0.5243 0.4014 0.3140
O4 0.3611 0.4853 0.4842
O5 0.0941 0.5811 0.3929
O6 0.9844 0.7950 0.3992
O7 0.5954 0.9075 0.6174
O8 0.3106 0.9147 0.5156
O9 0.9136 0.1216 0.0988
O10 0.3802 0.2879 0.9771
O11 0.5083 0.0116 0.8787
O12 0.1859 0.2102 0.0929
O13 0.1088 0.7014 0.1903
O14 0.7969 0.8969 0.4820
O15 0.9968 0.3642 0.9913
O16 0.9092 0.0185 0.8131
O17 0.4769 0.3745 0.7961
O18 0.8142 0.5202 0.9087
O19 0.5961 0.1857 0.7059
O20 0.0156 0.8776 0.0057
O21 0.6215 0.6261 0.1359
O22 0.0904 0.6136 0.9042
O23 0.8827 0.9756 0.2878
O24 0.2895 0.4766 0.8852
O25 0.4048 0.8143 0.0204
O26 0.6131 0.4043 0.5926
O27 0.1310 0.1338 0.6276
O28 0.5046 0.9993 0.3713
O29 0.2133 0.5926 0.6868
O30 0.6404 0.7212 0.8403
O31 0.0217 0.3134 0.4120
O32 0.6874 0.0947 0.2109
O33 0.4055 0.0911 0.1158

Values from the calculation:
E_form: -3.44 eV/atom
crystal system: triclinic
magnetic moment: 0.001 μB/f.u.
SG: P1 (1)

=====

Entry 12:
The following is a PBE-GGA calculation of Ho5Re2O12 after structural relaxation, from the Materials Project.

Lattice parameters (Å, degrees): 6.8224 6.8224 7.5251 73.75 73.75 49.01
Atoms (fractional coordinates):
Ho1 0.3141 0.3141 0.8241
Ho2 0.6859 0.6859 0.1759
Ho3 0.0000 0.0000 0.5000
Ho4 0.6969 0.6969 0.6409
Ho5 0.3031 0.3031 0.3591
Re1 0.2144 0.7856 0.0000
Re2 0.7856 0.2144 0.0000
O1 0.4992 0.4992 0.1783
O2 0.5008 0.5008 0.8217
O3 0.0012 0.0012 0.2070
O4 0.9988 0.9988 0.7930
O5 0.9124 0.4191 0.9147
O6 0.5809 0.0876 0.0853
O7 0.0876 0.5809 0.0853
O8 0.5938 0.0980 0.5738
O9 0.9020 0.4062 0.4262
O10 0.4062 0.9020 0.4262
O11 0.0980 0.5938 0.5738
O12 0.4191 0.9124 0.9147

Values from the calculation:
E_form: -3.37 eV/atom
crystal system: monoclinic
SG: C2/m (12)

=====

> What is the E_form in the eighth record?

-2.92 eV/atom

=====

> Which formula does entry 12 have?

Ho5Re2O12